KNdS2O8, relaxed, DFT PBE-GGA; E above lowest polymorph = 3 meV per atom; energy relative to the elements = -2.5484 eV/atom
1.0
5.435 0.000 0.000
-0.120 7.024 0.000
-0.392 -1.223 9.094
K Nd S O
2 2 4 16
Direct
0.225 0.178 0.185
0.775 0.822 0.815
0.253 0.304 0.721
0.747 0.696 0.279
0.263 0.684 0.073
0.271 0.776 0.560
0.729 0.224 0.440
0.737 0.316 0.927
0.041 0.804 0.102
0.097 0.809 0.438
0.191 0.603 0.624
0.228 0.569 0.927
0.278 0.944 0.678
0.302 0.563 0.194
0.475 0.251 0.495
0.487 0.813 0.079
0.513 0.187 0.921
0.525 0.749 0.505
0.698 0.437 0.806
0.722 0.056 0.322
0.772 0.431 0.073
0.809 0.397 0.376
0.903 0.191 0.562
0.959 0.196 0.898